Compound: Al3FeSi2
Source: Materials Project
Functional: PBE-GGA
Structure: relaxed

a b c (Å): 6.0656 6.0723 9.4836
angles (deg): 90.00 90.00 90.00
Last column: nearest neighbours and their distance in Å.
Sites, in units of the cell vectors:
Al 0.0000 0.0000 0.0000  2 Fe 2.37
Al 0.0000 0.0000 0.5000  2 Fe 2.37
Al 0.1404 0.3664 0.1362  2 Fe 2.56-2.59, 4 Si 2.60-2.77, 3 Al 2.66-2.75
Al 0.1404 0.6336 0.6362  2 Fe 2.56-2.59, 4 Si 2.60-2.77, 3 Al 2.66-2.75
Al 0.3596 0.1336 0.6362  2 Fe 2.56-2.59, 4 Si 2.60-2.77, 3 Al 2.66-2.75
Al 0.3596 0.8664 0.1362  2 Fe 2.56-2.59, 4 Si 2.60-2.77, 3 Al 2.66-2.75
Al 0.5000 0.5000 0.0000  2 Fe 2.37
Al 0.5000 0.5000 0.5000  2 Fe 2.37
Al 0.6404 0.1336 0.8638  2 Fe 2.56-2.59, 4 Si 2.60-2.77, 3 Al 2.66-2.75
Al 0.6404 0.8664 0.3638  2 Fe 2.56-2.59, 4 Si 2.60-2.77, 3 Al 2.66-2.75
Al 0.8596 0.3664 0.3638  2 Fe 2.56-2.59, 4 Si 2.60-2.77, 3 Al 2.66-2.75
Al 0.8596 0.6336 0.8638  2 Fe 2.56-2.59, 4 Si 2.60-2.77, 3 Al 2.66-2.75
Fe 0.0000 0.0112 0.2500  6 Al 2.37-2.59, 4 Si 2.44-2.46
Fe 0.0000 0.9888 0.7500  6 Al 2.37-2.59, 4 Si 2.44-2.46
Fe 0.5000 0.4888 0.7500  6 Al 2.37-2.59, 4 Si 2.44-2.46
Fe 0.5000 0.5112 0.2500  6 Al 2.37-2.59, 4 Si 2.44-2.46
Si 0.1628 0.3288 0.8456  2 Fe 2.44-2.46, 5 Al 2.60-2.72, 1 Si 2.68
Si 0.1628 0.6712 0.3456  2 Fe 2.44-2.46, 5 Al 2.60-2.72, 1 Si 2.68
Si 0.3372 0.1712 0.3456  2 Fe 2.44-2.46, 5 Al 2.60-2.72, 1 Si 2.68
Si 0.3372 0.8288 0.8456  2 Fe 2.44-2.46, 5 Al 2.60-2.72, 1 Si 2.68
Si 0.6628 0.1712 0.1544  2 Fe 2.44-2.46, 5 Al 2.60-2.72, 1 Si 2.68
Si 0.6628 0.8288 0.6544  2 Fe 2.44-2.46, 5 Al 2.60-2.72, 1 Si 2.68
Si 0.8372 0.3288 0.6544  2 Fe 2.44-2.46, 5 Al 2.60-2.72, 1 Si 2.68
Si 0.8372 0.6712 0.1544  2 Fe 2.44-2.46, 5 Al 2.60-2.72, 1 Si 2.68

Properties
Formation energy: -0.232 eV/atom
Crystal system: orthorhombic
Final energy: -128.37 eV for the cell shown
Mass density: 3.669 g cm⁻³
Relative energy among the computed polymorphs: 0.0 kJ per mole of atoms